VASP calculation (PBE-GGA) on a relaxed SiP3H29C10BrN crystal.

## Properties
* total magnetic moment: 0.000 μB per atom

```
data_SiP3H29C10BrN
_space_group_name_H-M_alt 'P 1 21/c 1'
_space_group_IT_number 14
_cell_length_a 15.377
_cell_length_b 11.266
_cell_length_c 11.959
_cell_angle_alpha 90.00
_cell_angle_beta 101.51
_cell_angle_gamma 90.00
loop_
_space_group_symop_operation_xyz
'x,y,z'
'-x,-y,-z'
'-x,y+1/2,-z+1/2'
'x,-y+1/2,z+1/2'
loop_
_atom_site_label
_atom_site_fract_x
_atom_site_fract_y
_atom_site_fract_z
_atom_site_occupancy
Si1 0.092 0.100 0.251 1
P1 0.247 0.726 0.257 1
P2 0.268 0.074 0.161 1
P3 0.368 0.544 0.774 1
H1 0.009 0.664 0.429 1
H2 0.021 0.025 0.408 1
H3 0.031 0.515 0.395 1
H4 0.061 0.218 0.858 1
H5 0.065 0.596 0.841 1
H6 0.071 0.634 0.322 1
H7 0.109 0.700 0.121 1
H8 0.124 0.181 0.753 1
H9 0.137 0.505 0.940 1
H10 0.153 0.655 0.610 1
H11 0.176 0.250 0.383 1
H12 0.197 0.720 0.046 1
H13 0.226 0.512 0.240 1
H14 0.236 0.082 0.958 1
H15 0.266 0.565 0.505 1
H16 0.272 0.217 0.637 1
H17 0.282 0.542 0.920 1
H18 0.300 0.560 0.151 1
H19 0.333 0.243 0.276 1
H20 0.338 0.547 0.302 1
H21 0.350 0.047 0.010 1
H22 0.365 0.711 0.648 1
H23 0.369 0.069 0.443 1
H24 0.381 0.222 0.151 1
H25 0.396 0.585 0.972 1
H26 0.406 0.743 0.796 1
H27 0.476 0.068 0.673 1
H28 0.493 0.516 0.683 1
H29 0.494 0.085 0.301 1
C1 0.015 0.604 0.358 1
C2 0.078 0.504 0.871 1
C3 0.115 0.248 0.817 1
C4 0.170 0.750 0.120 1
C5 0.282 0.029 0.020 1
C6 0.282 0.572 0.235 1
C7 0.319 0.219 0.185 1
C8 0.351 0.523 0.917 1
C9 0.351 0.699 0.734 1
C10 0.481 0.506 0.770 1
Br1 0.488 0.227 0.986 1
N1 0.175 0.052 0.186 1
```

=====

VASP calculation (PBE-GGA) on a relaxed CsSrSiHO4 crystal.

## Properties
* total magnetic moment: 0.000 μB per atom
* maximum piezoelectric response: 0.17 C/m2
* relative energy among the computed polymorphs: 31 meV per atom

```
data_CsSrSiHO4
_space_group_name_H-M_alt 'P 1 21 1'
_space_group_IT_number 4
_cell_length_a 6.000
_cell_length_b 8.009
_cell_length_c 6.037
_cell_angle_alpha 90.00
_cell_angle_beta 119.54
_cell_angle_gamma 90.00
loop_
_space_group_symop_operation_xyz
'x,y,z'
'-x,y+1/2,-z'
loop_
_atom_site_label
_atom_site_fract_x
_atom_site_fract_y
_atom_site_fract_z
_atom_site_occupancy
Cs1 0.225 0.000 0.349 1
Sr1 0.490 0.245 0.986 1
Si1 0.120 0.482 0.322 1
H1 0.041 0.722 0.492 1
O1 0.195 0.988 0.859 1
O2 0.197 0.658 0.515 1
O3 0.210 0.330 0.534 1
O4 0.270 0.488 0.157 1
```

=====

VASP calculation (PBE-GGA) on a relaxed U2PbS5 crystal.

## Properties
* relative energy among the computed polymorphs: 0 meV per atom

```
data_U2PbS5
_space_group_name_H-M_alt 'P 1 21/c 1'
_space_group_IT_number 14
_cell_length_a 8.247
_cell_length_b 7.454
_cell_length_c 11.692
_cell_angle_alpha 90.00
_cell_angle_beta 90.19
_cell_angle_gamma 90.00
loop_
_space_group_symop_operation_xyz
'x,y,z'
'-x,-y,-z'
'-x,y+1/2,-z+1/2'
'x,-y+1/2,z+1/2'
loop_
_atom_site_label
_atom_site_fract_x
_atom_site_fract_y
_atom_site_fract_z
_atom_site_occupancy
U1 0.002 0.020 0.318 1
U2 0.244 0.575 0.493 1
Pb1 0.491 0.514 0.177 1
S1 0.047 0.163 0.098 1
S2 0.216 0.547 0.999 1
S3 0.219 0.164 0.816 1
S4 0.229 0.695 0.717 1
S5 0.462 0.160 0.086 1
```

=====

VASP calculation (PBE-GGA) on a relaxed KMgNbO3 crystal.

## Properties
* total magnetic moment: 0.000 μB per atom
* relative energy among the computed polymorphs: 324 meV per atom

```
data_KMgNbO3
_space_group_name_H-M_alt 'C 1 m 1'
_space_group_IT_number 8
_cell_length_a 6.704
_cell_length_b 5.664
_cell_length_c 4.362
_cell_angle_alpha 90.00
_cell_angle_beta 102.49
_cell_angle_gamma 90.00
loop_
_space_group_symop_operation_xyz
'x,y,z'
'x,-y,z'
'x+1/2,y+1/2,z'
'x+1/2,-y+1/2,z'
loop_
_atom_site_label
_atom_site_fract_x
_atom_site_fract_y
_atom_site_fract_z
_atom_site_occupancy
K1 0.000 0.000 0.000 1
Mg1 0.316 0.000 0.687 1
Nb1 0.124 0.500 0.375 1
O1 0.110 0.500 0.883 1
O2 0.360 0.247 0.391 1
```

=====

VASP calculation (PBE-GGA) on a relaxed Sr5As5HO18 crystal.

## Properties
* total magnetic moment: 0.000 μB per atom

```
data_Sr5As5HO18
_space_group_name_H-M_alt 'P 1 21/c 1'
_space_group_IT_number 14
_cell_length_a 7.268
_cell_length_b 7.265
_cell_length_c 33.620
_cell_angle_alpha 90.00
_cell_angle_beta 98.47
_cell_angle_gamma 90.00
loop_
_space_group_symop_operation_xyz
'x,y,z'
'-x,-y,-z'
'-x,y+1/2,-z+1/2'
'x,-y+1/2,z+1/2'
loop_
_atom_site_label
_atom_site_fract_x
_atom_site_fract_y
_atom_site_fract_z
_atom_site_occupancy
Sr1 0.009 0.114 0.355 1
Sr2 0.169 0.152 0.754 1
Sr3 0.321 0.659 0.054 1
Sr4 0.336 0.598 0.444 1
Sr5 0.458 0.225 0.656 1
As1 0.086 0.672 0.343 1
As2 0.188 0.096 0.461 1
As3 0.203 0.157 0.042 1
As4 0.307 0.660 0.734 1
As5 0.494 0.705 0.652 1
H1 0.015 0.007 0.105 1
O1 0.010 0.568 0.072 1
O2 0.022 0.067 0.062 1
O3 0.028 0.033 0.868 1
O4 0.089 0.205 0.501 1
O5 0.112 0.203 0.673 1
O6 0.160 0.001 0.247 1
O7 0.175 0.655 0.216 1
O8 0.210 0.615 0.306 1
O9 0.227 0.695 0.877 1
O10 0.299 0.597 0.980 1
O11 0.301 0.204 0.326 1
O12 0.329 0.511 0.522 1
O13 0.336 0.241 0.442 1
O14 0.347 0.620 0.134 1
O15 0.358 0.202 0.571 1
O16 0.394 0.570 0.689 1
O17 0.492 0.537 0.616 1
O18 0.495 0.195 0.734 1
```

=====

VASP calculation (PBE-GGA) on a relaxed TiZnO2 crystal.

## Properties
* total magnetic moment: 0.000 μB per atom

```
data_TiZnO2
_space_group_name_H-M_alt 'P -1'
_space_group_IT_number 2
_cell_length_a 2.909
_cell_length_b 7.622
_cell_length_c 8.538
_cell_angle_alpha 82.23
_cell_angle_beta 81.45
_cell_angle_gamma 84.40
loop_
_space_group_symop_operation_xyz
'x,y,z'
'-x,-y,-z'
loop_
_atom_site_label
_atom_site_fract_x
_atom_site_fract_y
_atom_site_fract_z
_atom_site_occupancy
Ti1 0.029 0.303 0.074 1
Ti2 0.395 0.559 0.256 1
Zn1 0.032 0.930 0.223 1
Zn2 0.208 0.149 0.447 1
O1 0.075 0.624 0.701 1
O2 0.187 0.295 0.643 1
O3 0.393 0.753 0.079 1
O4 0.498 0.885 0.797 1
```

=====

VASP calculation (PBE-GGA) on a relaxed Tb2ZnCu crystal.

```
data_Tb2ZnCu
_space_group_name_H-M_alt 'P 4/m m m'
_space_group_IT_number 123
_space_group_name_Hall '-P 4 2'
_cell_length_a 3.544
_cell_length_b 3.544
_cell_length_c 7.051
_cell_angle_alpha 90.00
_cell_angle_beta 90.00
_cell_angle_gamma 90.00
loop_
_atom_site_label
_atom_site_fract_x
_atom_site_fract_y
_atom_site_fract_z
_atom_site_occupancy
Tb1 0.000 0.000 0.245 1
Zn1 0.500 0.500 0.500 1
Cu1 0.500 0.500 0.000 1
```

=====

VASP calculation (PBE-GGA) on a relaxed TiV crystal.

## Properties
* total magnetic moment: 0.028 μB per atom

```
data_TiV
_space_group_name_H-M_alt 'C m m m'
_space_group_IT_number 65
_space_group_name_Hall '-C 2 2'
_cell_length_a 3.131
_cell_length_b 4.408
_cell_length_c 4.413
_cell_angle_alpha 90.00
_cell_angle_beta 90.00
_cell_angle_gamma 90.00
loop_
_atom_site_label
_atom_site_fract_x
_atom_site_fract_y
_atom_site_fract_z
_atom_site_occupancy
Ti1 0.000 0.000 0.000 1
V1 0.000 0.500 0.500 1
```

=====

| no. | formation energy from the elements (eV/f.u.) | raw total energy (eV per atom) |
| --- | --- | --- |
| 1 | -9.69 | -5.1476 |
| 2 | -21.35 | -6.2252 |
| 3 | -11.90 | -7.0451 |
| 4 | -11.90 | -6.2495 |
| 5 | -71.37 | -6.3173 |
| 6 | -8.95 | -6.6578 |
| 7 | -1.15 | -3.9440 |
| 8 | 0.24 | -8.3711 |